Entry 1:
# GGA-PBE Rb2SbAuBr6, optimized geometry
# E (MP2020) ... -127.74 eV per cell
# E_form ... -1.27 eV per atom
data_Rb2SbAuBr6
_cell_length_a 11.2749
_cell_length_b 11.2749
_cell_length_c 11.2749
_cell_angle_alpha 90.00
_cell_angle_beta 90.00
_cell_angle_gamma 90.00
_symmetry_space_group_name_H-M 'F m -3 m'
_symmetry_Int_Tables_number 225
_symmetry_space_group_name_Hall '-F 4 2 3'
loop_
_atom_site_label
_atom_site_fract_x
_atom_site_fract_y
_atom_site_fract_z
Rb1 0.2500 0.2500 0.2500
Sb1 0.0000 0.0000 0.0000
Au1 0.0000 0.0000 0.5000
Br1 0.0000 0.0000 0.2504


Entry 2:
# GGA-PBE Nd2NiB10, optimized geometry
# E_form ... -0.53 eV per atom
data_Nd2NiB10
_cell_length_a 5.6372
_cell_length_b 11.2344
_cell_length_c 4.1956
_cell_angle_alpha 90.00
_cell_angle_beta 90.00
_cell_angle_gamma 90.00
_symmetry_space_group_name_H-M 'P b a m'
_symmetry_Int_Tables_number 55
_symmetry_space_group_name_Hall '-P 2 2ab'
loop_
_atom_site_label
_atom_site_fract_x
_atom_site_fract_y
_atom_site_fract_z
Nd1 0.1910 0.1368 0.0000
Ni1 0.0000 0.5000 0.5000
B1 0.0356 0.3125 0.5000
B2 0.1256 0.9586 0.5000
B3 0.1552 0.8024 0.5000
B4 0.2035 0.3856 0.1998


Entry 3:
# GGA-PBE Si2TeN2, optimized geometry
# E (MP2020) ... -136.08 eV per cell
# E_form ... -0.67 eV per atom
data_Si2TeN2
_cell_length_a 12.1573
_cell_length_b 5.6557
_cell_length_c 5.0076
_cell_angle_alpha 90.00
_cell_angle_beta 90.00
_cell_angle_gamma 90.00
_symmetry_space_group_name_H-M 'C m c 21'
_symmetry_Int_Tables_number 36
_symmetry_space_group_name_Hall 'C 2c -2'
loop_
_atom_site_label
_atom_site_fract_x
_atom_site_fract_y
_atom_site_fract_z
Si1 0.1975 0.1429 0.0000
Te1 0.0000 0.2612 0.1000
N1 0.2374 0.1188 0.3376


Entry 4:
# GGA-PBE Y2Zn3, optimized geometry
# E_form ... 0.16 eV per atom
data_Y2Zn3
_cell_length_a 5.5987
_cell_length_b 19.4694
_cell_length_c 5.6184
_cell_angle_alpha 90.00
_cell_angle_beta 119.80
_cell_angle_gamma 90.00
_symmetry_space_group_name_H-M 'P 1 21/m 1'
_symmetry_Int_Tables_number 11
_symmetry_space_group_name_Hall '-P 2yb'
loop_
_atom_site_label
_atom_site_fract_x
_atom_site_fract_y
_atom_site_fract_z
Y1 0.0000 0.0844 0.0004
Y2 0.3328 0.1325 0.6651
Zn1 0.0000 0.0000 0.5000
Zn2 0.1487 0.2500 0.2979
Zn3 0.1502 0.2500 0.8516
Zn4 0.2982 0.7500 0.1478
Zn5 0.5000 0.0000 0.0000
Zn6 0.5000 0.0000 0.5000


Entry 5:
# GGA-PBE Tb11Cd45, optimized geometry
# E_form ... -0.24 eV per atom
data_Tb11Cd45
_cell_length_a 21.8169
_cell_length_b 21.8169
_cell_length_c 21.8169
_cell_angle_alpha 90.00
_cell_angle_beta 90.00
_cell_angle_gamma 90.00
_symmetry_space_group_name_H-M 'F -4 3 m'
_symmetry_Int_Tables_number 216
_symmetry_space_group_name_Hall 'F -4 2 3'
loop_
_atom_site_label
_atom_site_fract_x
_atom_site_fract_y
_atom_site_fract_z
Tb1 0.0000 0.0000 0.0000
Tb2 0.0136 0.1735 0.8265
Tb3 0.0936 0.0936 0.5936
Tb4 0.1622 0.1622 0.3378
Tb5 0.2500 0.2500 0.7500
Cd1 0.0000 0.0000 0.1563
Cd2 0.0000 0.0000 0.5000
Cd3 0.0125 0.1731 0.3269
Cd4 0.0453 0.0453 0.3594
Cd5 0.0626 0.0626 0.7368
Cd6 0.0833 0.0833 0.9167
Cd7 0.0842 0.0842 0.2360
Cd8 0.0867 0.0867 0.0867
Cd9 0.0884 0.2500 0.2500
Cd10 0.1093 0.2042 0.7042
Cd11 0.1633 0.1633 0.8367
Cd12 0.1699 0.1699 0.1699
Cd13 0.2500 0.2500 0.2500


Entry 6:
# GGA-PBE AsIF12, optimized geometry
# E (MP2020) ... -229.82 eV per cell
# E_form ... -2.02 eV per atom
data_AsIF12
_cell_length_a 9.6258
_cell_length_b 9.6258
_cell_length_c 9.6258
_cell_angle_alpha 90.00
_cell_angle_beta 90.00
_cell_angle_gamma 90.00
_symmetry_space_group_name_H-M 'P a -3'
_symmetry_Int_Tables_number 205
_symmetry_space_group_name_Hall '-P 2ac 2ab 3'
loop_
_atom_site_label
_atom_site_fract_x
_atom_site_fract_y
_atom_site_fract_z
As1 0.0000 0.0000 0.0000
I1 0.0000 0.0000 0.5000
F1 0.0596 0.6025 0.3585
F2 0.0620 0.1160 0.6368